Entry from Materials Project: Ba5Bi5O13 after structural relaxation (PBE-GGA).

Summary:
The value obtained for the volume is 435 Å³/f.u. The MP2020-corrected energy is -288.86 eV per cell. The mass density is 7.408 g/cm3. As for the formation energy: -2220 meV per atom. Its space-group type is C2, No. 5. As for the total magnetization: 0.01 μB per cell.

Lattice parameters (Å, degrees): 6.3711 6.3711 25.6154 80.67 80.67 58.33
With the nearest neighbours (Å) after each atom.
Fractional coordinates of all 46 atoms:
Ba 0.2969 0.8388 0.8529  6 O 2.74-2.99
Ba 0.7579 0.1560 0.6519  5 O 2.75-2.98
Ba 0.2267 0.4714 0.4531  3 O 2.71-3.02
Ba 0.5041 0.9727 0.2514  4 O 2.73-2.98
Ba 0.8323 0.4481 0.0457  3 O 2.73-3.00
Ba 0.0273 0.4959 0.7486  4 O 2.73-2.98
Ba 0.5286 0.7733 0.5469  3 O 2.71-3.02
Ba 0.8440 0.2421 0.3481  5 O 2.75-2.98
Ba 0.1612 0.7031 0.1471  6 O 2.74-2.99
Ba 0.5519 0.1677 0.9543  3 O 2.73-3.00
Bi 0.9328 0.4963 0.8967  5 O 2.11-2.35
Bi 0.4058 0.7964 0.7004  5 O 2.18-2.38
Bi 0.8791 0.1209 0.5000  6 O 2.23-2.33
Bi 0.2036 0.5942 0.2996  5 O 2.18-2.38
Bi 0.5037 0.0672 0.1033  5 O 2.11-2.35
Bi 0.6791 0.1275 0.8041  4 O 2.15-2.35
Bi 0.1475 0.4371 0.6026  5 O 2.12-2.34
Bi 0.5629 0.8525 0.3974  5 O 2.12-2.34
Bi 0.8725 0.3209 0.1959  4 O 2.15-2.35
Bi 0.2004 0.7996 0.0000  6 O 2.26-2.34
O 0.5677 0.9182 0.7522  2 Bi 2.25-2.43
O 0.0199 0.2259 0.5612  2 Bi 2.27-2.34
O 0.3808 0.7296 0.3513  2 Bi 2.25-2.38
O 0.6990 0.1933 0.1505  2 Bi 2.21-2.35
O 0.0665 0.6878 0.9372  2 Bi 2.25-2.30
O 0.0728 0.8894 0.7599  2 Bi 2.26-2.35
O 0.5248 0.2548 0.5521  2 Bi 2.23-2.31
O 0.7452 0.4752 0.4479  2 Bi 2.23-2.31
O 0.1106 0.9272 0.2401  2 Bi 2.26-2.35
O 0.5642 0.6631 0.9492  2 Bi 2.26-2.30
O 0.3369 0.4358 0.0508  2 Bi 2.26-2.30
O 0.8067 0.3010 0.8495  2 Bi 2.21-2.35
O 0.2704 0.6192 0.6487  2 Bi 2.25-2.38
O 0.7741 0.9801 0.4388  2 Bi 2.27-2.34
O 0.0818 0.4323 0.2478  2 Bi 2.25-2.43
O 0.3122 0.9335 0.0628  2 Bi 2.25-2.30
O 0.3178 0.2595 0.8543  2 Bi 2.24-2.29
O 0.5658 0.4254 0.7418  2 Bi 2.15-2.18
O 0.7843 0.5980 0.6524  2 Bi 2.24-2.29
O 0.0059 0.7236 0.5405  2 Bi 2.12-2.33
O 0.2764 0.9941 0.4595  2 Bi 2.12-2.33
O 0.4020 0.2157 0.3476  2 Bi 2.24-2.29
O 0.5746 0.4342 0.2582  2 Bi 2.15-2.18
O 0.7405 0.6822 0.1457  2 Bi 2.24-2.29
O 0.8007 0.9557 0.0431  2 Bi 2.11-2.34
O 0.0443 0.1993 0.9569  2 Bi 2.11-2.34

---

Entry from Materials Project: TaOF3 after structural relaxation (PBE-GGA).

Summary:
The value obtained for the volume is 66 Å³/f.u. The MP2020-corrected energy is -193.51 eV per cell. The mass density is 6.368 g/cm3. As for the formation energy: -3230 meV per atom. Its space-group type is P1, No. 1. As for the total magnetization: 0.00 μB per cell.

Lattice parameters (Å, degrees): 4.0641 4.8966 18.2285 90.83 89.90 114.10
With the nearest neighbours (Å) after each atom.
Fractional coordinates of all 25 atoms:
Ta 0.0556 0.0015 0.0005  1 O 1.80, 2 F 1.90
Ta 0.1905 0.3708 0.7969  1 O 1.74
Ta 0.3880 0.7755 0.5975  1 O 1.74
Ta 0.5894 0.1775 0.3980  1 O 1.74
Ta 0.7904 0.5816 0.1985  1 O 1.75
O 0.0057 0.0239 0.7519  1 Ta 1.74
O 0.2144 0.4284 0.5527  1 Ta 1.74
O 0.4158 0.8308 0.3529  1 Ta 1.74
O 0.6108 0.2294 0.1553  1 Ta 1.75
O 0.4986 0.0032 0.0000  1 Ta 1.80
F 0.3016 0.6027 0.7004  2 Ta 2.04-2.06
F 0.5039 0.0065 0.5012  2 Ta 2.04-2.05
F 0.9036 0.8005 0.1006  2 Ta 2.05-2.06
F 0.7948 0.6266 0.9532  1 Ta 1.90
F 0.7017 0.4022 0.8019  2 Ta 2.02-2.06
F 0.9035 0.8065 0.6006  2 Ta 2.04
F 0.1047 0.2082 0.4012  2 Ta 2.04
F 0.3041 0.6092 0.2009  2 Ta 2.04
F 0.3750 0.7761 0.8449  1 Ta 2.00
F 0.5880 0.1795 0.6466  1 Ta 2.00
F 0.9905 0.9828 0.2480  1 Ta 2.00
F 0.7899 0.5817 0.4467  1 Ta 2.00
F 0.1687 0.3782 0.0473  1 Ta 1.90
F 0.1045 0.2067 0.9006  2 Ta 2.04-2.06
F 0.7063 0.4100 0.3017  2 Ta 2.04-2.05

---

Entry from Materials Project: Na6Ti4Si7Ge4S5O48 after structural relaxation (PBE-GGA).

Summary:
The value obtained for the volume is 960 Å³/f.u. The MP2020-corrected energy is -1627.60 eV per cell. The mass density is 3.018 g/cm3. As for the formation energy: -2545 meV per atom. Its space-group type is P1, No. 1. As for the total magnetization: 0.00 μB per cell.

Lattice parameters (Å, degrees): 17.3185 8.6612 22.1733 89.94 89.76 120.00
With the nearest neighbours (Å) after each atom.
Fractional coordinates of all 222 atoms:
Na 0.0000 0.6301 0.2515  5 O 2.30-2.56
Na 0.4975 0.6381 0.2464  3 O 2.24-2.47
Na 0.9986 0.3575 0.7510  3 O 2.24-2.46
Na 0.4996 0.3719 0.7527  5 O 2.30-2.51
Na 0.6644 0.3084 0.9176  4 O 2.32-2.54
Na 0.1651 0.0226 0.4147  5 O 2.32-2.59
Na 0.9973 0.9904 0.5021  6 O 2.40-2.56
Na 0.4968 0.9938 0.4978  6 O 2.37-2.55
Na 0.9977 0.0006 0.9990  6 O 2.39-2.55
Na 0.4964 0.9980 0.0045  6 O 2.36-2.61
Na 0.3314 0.3353 0.8345  6 O 2.40-2.59
Na 0.8339 0.3296 0.8351  6 O 2.50-2.63
Na 0.3328 0.3377 0.3302  6 O 2.42-2.68
Na 0.8322 0.3274 0.3317  6 O 2.45-2.61
Na 0.1739 0.6694 0.1680  6 O 2.44-2.66
Na 0.6708 0.6685 0.1618  4 O 2.35-2.59
Na 0.1748 0.6778 0.6650  6 O 2.38-2.64
Na 0.6722 0.6774 0.6695  6 O 2.41-2.67
Ti 0.9987 0.9913 0.3488  4 O 1.81-2.02
Ti 0.4980 0.0039 0.8501  4 O 1.83-1.97
Ti 0.3233 0.3200 0.6936  4 O 1.83-1.93
Ti 0.8250 0.3331 0.6884  3 O 1.81-1.93
Ti 0.3330 0.3278 0.1841  5 O 1.86-2.06
Ti 0.8237 0.3255 0.1932  4 O 1.82-1.94
Ti 0.8329 0.3414 0.9782  5 O 1.86-2.08
Ti 0.3333 0.3249 0.4770  5 O 1.85-2.06
Ti 0.1672 0.6780 0.3066  5 O 1.88-1.98
Ti 0.6639 0.6749 0.3085  4 O 1.83-2.01
Ti 0.1673 0.6549 0.8119  4 O 1.86-1.98
Ti 0.6672 0.6583 0.8089  5 O 1.89-1.96
Si 0.1466 0.0110 0.2475  4 O 1.60-1.65
Si 0.6358 0.0060 0.2509  4 O 1.61-1.68
Si 0.3572 0.7159 0.2472  4 O 1.61-1.65
Si 0.8535 0.7134 0.2482  4 O 1.62-1.64
Si 0.9999 0.2846 0.2493  4 O 1.62-1.64
Si 0.1355 0.2678 0.7510  4 O 1.62-1.67
Si 0.6425 0.2819 0.7486  4 O 1.61-1.64
Si 0.5000 0.7149 0.7492  4 O 1.62-1.65
Si 0.3527 0.9927 0.7489  4 O 1.61-1.63
Si 0.8573 0.9972 0.7472  4 O 1.60-1.66
Si 0.1857 0.0414 0.5841  4 O 1.63-1.67
Si 0.8313 0.6295 0.5827  4 O 1.62-1.66
Si 0.4823 0.6225 0.0813  4 O 1.61-1.65
Si 0.3306 0.0332 0.0828  4 O 1.61-1.67
Si 0.6862 0.3282 0.0847  4 O 1.61-1.66
Si 0.8130 0.6811 0.9170  4 O 1.63-1.67
Si 0.0255 0.3849 0.9200  4 O 1.62-1.64
Si 0.5182 0.3758 0.9162  4 O 1.63-1.65
Si 0.3165 0.9519 0.4139  4 O 1.61-1.67
Si 0.0188 0.6596 0.4169  4 O 1.61-1.66
Si 0.5261 0.6689 0.4196  4 O 1.63-1.64
Ge 0.4945 0.9648 0.3548  4 O 1.77-1.84
Ge 0.9946 0.0255 0.8571  4 O 1.80-1.83
Ge 0.9978 0.9966 0.6448  4 O 1.81-1.88
Ge 0.4958 0.9921 0.6567  3 O 1.75-1.80
Ge 0.9978 0.0029 0.1555  3 O 1.76-1.80
Ge 0.4956 0.9783 0.1390  5 O 1.81-1.89
Ge 0.3495 0.3352 0.9854  3 O 1.75-1.80
Ge 0.8403 0.3576 0.4820  2 O 1.75-1.79
Ge 0.1674 0.6706 0.0192  4 O 1.77-1.97
Ge 0.6636 0.6377 0.0212  4 O 1.80-1.85
Ge 0.1740 0.7018 0.5157  3 O 1.78-1.82
Ge 0.6674 0.6627 0.5182  4 O 1.77-1.95
S 0.5000 0.2808 0.2510  4 O 1.45-1.53
S 0.0004 0.7163 0.7504  4 O 1.46-1.50
S 0.4805 0.3310 0.5834  4 O 1.46-1.51
S 0.9798 0.3364 0.5816  4 O 1.48-1.51
S 0.6878 0.0443 0.5811  4 O 1.48-1.50
S 0.3339 0.6273 0.5829  4 O 1.47-1.52
S 0.9803 0.6299 0.0835  4 O 1.46-1.50
S 0.8360 0.0439 0.0835  4 O 1.47-1.52
S 0.1867 0.3299 0.0810  4 O 1.48-1.50
S 0.3101 0.6610 0.9190  4 O 1.47-1.50
S 0.1671 0.9579 0.9171  4 O 1.47-1.51
S 0.6656 0.9490 0.9181  4 O 1.46-1.52
S 0.8101 0.9589 0.4195  4 O 1.47-1.50
S 0.1656 0.3847 0.4193  4 O 1.45-1.52
S 0.6674 0.3763 0.4177  4 O 1.45-1.52
O 0.1023 0.0356 0.3103  1 Si 1.65, 1 Ti 1.84
O 0.5972 0.0435 0.3130  1 Si 1.63, 1 Ge 1.81
O 0.4197 0.7871 0.3083  1 Si 1.65, 1 Ge 1.77
O 0.9185 0.7975 0.3070  1 Si 1.64, 1 Ti 1.81
O 0.4860 0.1776 0.3066  1 S 1.47
O 0.9817 0.1588 0.3088  1 Si 1.64
O 0.0950 0.1477 0.8118  1 Si 1.63, 1 Ge 1.82
O 0.6023 0.1675 0.8104  1 Si 1.63
O 0.4813 0.8042 0.8080  1 Si 1.63
O 0.9833 0.7895 0.8046  1 S 1.46
O 0.4188 0.0397 0.8065  1 Si 1.63
O 0.9213 0.0543 0.8072  1 Si 1.65, 1 Ge 1.80
O 0.3937 0.9561 0.6877  1 Si 1.63, 1 Ge 1.77
O 0.9015 0.9600 0.6882  1 Si 1.62, 1 Ge 1.81
O 0.0741 0.1945 0.6909  1 Si 1.63
O 0.5785 0.1992 0.6891  1 Si 1.64, 1 Ge 1.80
O 0.0171 0.8223 0.6944  1 S 1.48
O 0.5221 0.8377 0.6876  1 Si 1.65, 1 Ge 1.75
O 0.4013 0.8456 0.1895  1 Si 1.61
O 0.8953 0.8343 0.1878  1 Si 1.63, 1 Ge 1.79
O 0.0220 0.2065 0.1885  1 Si 1.64, 1 Ge 1.76
O 0.5169 0.2104 0.1962  1 S 1.45
O 0.0780 0.9567 0.1899  1 Si 1.65, 1 Ge 1.80
O 0.5742 0.9534 0.1918  1 Si 1.61
O 0.4434 0.3616 0.6385  1 S 1.46
O 0.9397 0.3645 0.6364  1 S 1.48
O 0.2514 0.1398 0.6410  1 Si 1.63
O 0.7425 0.1242 0.6358  1 S 1.48
O 0.3221 0.5220 0.6378  1 S 1.47
O 0.8148 0.4961 0.6401  1 Si 1.64
O 0.4369 0.4991 0.1416  1 Si 1.64
O 0.9434 0.5255 0.1387  1 S 1.46
O 0.3106 0.1273 0.1401  1 Si 1.64
O 0.8251 0.1285 0.1381  1 S 1.48
O 0.2409 0.3606 0.1359  1 S 1.48
O 0.7529 0.3601 0.1411  1 Si 1.63, 1 Ti 1.82
O 0.2279 0.3023 0.0260  1 S 1.49
O 0.7342 0.3011 0.0240  1 Si 1.66
O 0.4147 0.5368 0.0233  1 Si 1.65, 1 Ge 1.75
O 0.9248 0.5431 0.0296  1 S 1.49
O 0.3470 0.1543 0.0221  1 Si 1.64, 1 Ge 1.75
O 0.8503 0.1539 0.0289  1 S 1.48
O 0.2327 0.1620 0.5234  1 Si 1.64
O 0.7313 0.1568 0.5261  1 S 1.50
O 0.3481 0.5466 0.5286  1 S 1.47
O 0.8495 0.5380 0.5237  1 Si 1.64, 1 Ge 1.75
O 0.4249 0.3066 0.5297  1 S 1.48
O 0.9209 0.3022 0.5272  1 S 1.51
O 0.2709 0.6974 0.9735  1 S 1.49
O 0.7673 0.7121 0.9770  1 Si 1.63
O 0.0906 0.4818 0.9774  1 Si 1.63, 1 Ge 1.77
O 0.5848 0.4601 0.9740  1 Si 1.64, 1 Ge 1.80
O 0.1527 0.8462 0.9727  1 S 1.51
O 0.6529 0.8447 0.9733  1 S 1.47
O 0.2762 0.8343 0.4763  1 Si 1.65, 1 Ge 1.78
O 0.7712 0.8448 0.4748  1 S 1.50
O 0.1526 0.4652 0.4752  1 S 1.49
O 0.6542 0.4594 0.4740  1 S 1.51
O 0.0847 0.7032 0.4762  1 Si 1.66, 1 Ge 1.79
O 0.5903 0.7006 0.4782  1 Si 1.64, 1 Ge 1.77
O 0.0620 0.6305 0.3564  1 Si 1.61
O 0.5692 0.6334 0.3593  1 Si 1.63
O 0.2464 0.8661 0.3596  1 Si 1.61
O 0.7559 0.8772 0.3654  1 S 1.47
O 0.1804 0.4894 0.3648  1 S 1.45
O 0.6855 0.4902 0.3646  1 S 1.47
O 0.0685 0.5029 0.8583  1 Si 1.64
O 0.5623 0.4926 0.8552  1 Si 1.63
O 0.1831 0.8758 0.8633  1 S 1.48
O 0.6802 0.8734 0.8632  1 S 1.46
O 0.2555 0.6396 0.8640  1 S 1.50
O 0.7471 0.6306 0.8593  1 Si 1.63
O 0.0113 0.8415 0.4138  1 Si 1.65
O 0.5186 0.8486 0.4143  1 Si 1.63
O 0.4179 0.9888 0.4062  1 Si 1.63
O 0.8995 0.9806 0.4145  1 S 1.47
O 0.0873 0.2020 0.4161  1 S 1.48
O 0.5874 0.2032 0.4140  1 S 1.45
O 0.0193 0.1908 0.9148  1 Si 1.63, 1 Ge 1.81
O 0.5107 0.1787 0.9115  1 Si 1.65
O 0.0849 0.9671 0.9122  1 S 1.47
O 0.5872 0.9756 0.9138  1 S 1.49
O 0.3990 0.8195 0.9130  1 S 1.47
O 0.9152 0.8469 0.9069  1 Si 1.64, 1 Ge 1.83
O 0.4895 0.1678 0.5865  1 S 1.50
O 0.9861 0.1723 0.5850  1 S 1.48
O 0.0877 0.0230 0.5927  1 Si 1.63
O 0.5990 0.0293 0.5856  1 S 1.48
O 0.4159 0.8111 0.5871  1 S 1.52
O 0.9202 0.8228 0.5903  1 Si 1.62
O 0.4879 0.8137 0.0857  1 Si 1.61, 1 Ge 1.81
O 0.9892 0.8104 0.0864  1 S 1.50
O 0.4202 0.0227 0.0903  1 Si 1.61
O 0.9191 0.0267 0.0875  1 S 1.52
O 0.0967 0.1672 0.0865  1 S 1.49
O 0.5885 0.1565 0.0932  1 Si 1.61
O 0.3491 0.1761 0.7428  1 Si 1.63
O 0.8518 0.1808 0.7365  1 Si 1.66
O 0.2367 0.3051 0.7448  1 Si 1.62
O 0.7413 0.3028 0.7434  1 Si 1.63, 1 Ti 1.81
O 0.4138 0.5170 0.7390  1 Si 1.63
O 0.9223 0.5311 0.7430  1 S 1.50
O 0.3497 0.5208 0.2398  1 Si 1.64
O 0.8493 0.5225 0.2428  1 Si 1.62
O 0.4217 0.3092 0.2467  1 S 1.50
O 0.9144 0.3120 0.2404  1 Si 1.62
O 0.2442 0.1838 0.2432  1 Si 1.60
O 0.7375 0.1689 0.2456  1 Si 1.62
O 0.3128 0.4943 0.9235  1 S 1.47
O 0.8201 0.4969 0.9256  1 Si 1.67
O 0.4191 0.3585 0.9215  1 Si 1.65, 1 Ge 1.80
O 0.9261 0.3576 0.9277  1 Si 1.62
O 0.2465 0.1384 0.9235  1 S 1.49
O 0.7468 0.1345 0.9221  1 S 1.52
O 0.3213 0.1470 0.4249  1 Si 1.67, 1 Ti 1.85
O 0.8147 0.1351 0.4270  1 S 1.50
O 0.2466 0.3617 0.4240  1 S 1.52
O 0.7487 0.3554 0.4250  1 S 1.52
O 0.4267 0.4966 0.4293  1 Si 1.63
O 0.9200 0.4754 0.4236  1 Si 1.66, 1 Ge 1.79
O 0.1781 0.4938 0.0766  1 S 1.50
O 0.6846 0.5148 0.0788  1 Si 1.64, 1 Ge 1.81
O 0.0706 0.6467 0.0761  1 S 1.50
O 0.5825 0.6496 0.0721  1 Si 1.64
O 0.2399 0.8341 0.0726  1 Si 1.67, 1 Ge 1.80
O 0.7551 0.8676 0.0786  1 S 1.47
O 0.1786 0.8429 0.5782  1 Si 1.67, 1 Ge 1.82
O 0.6803 0.8657 0.5767  1 S 1.49
O 0.2505 0.6392 0.5777  1 S 1.50
O 0.7406 0.6454 0.5726  1 Si 1.66, 1 Ge 1.81
O 0.0694 0.4949 0.5748  1 S 1.48
O 0.5711 0.4947 0.5761  1 S 1.51
O 0.1509 0.8278 0.2531  1 Si 1.63
O 0.6483 0.8270 0.2594  1 Si 1.68, 1 Ti 1.83
O 0.2596 0.6921 0.2582  1 Si 1.61
O 0.7560 0.6898 0.2597  1 Si 1.62
O 0.0864 0.4817 0.2567  1 Si 1.62
O 0.5806 0.4677 0.2568  1 S 1.53
O 0.1480 0.4708 0.7588  1 Si 1.67
O 0.6514 0.4762 0.7527  1 Si 1.61
O 0.0801 0.6930 0.7552  1 S 1.49
O 0.5862 0.6905 0.7560  1 Si 1.62
O 0.2548 0.8219 0.7587  1 Si 1.61
O 0.7595 0.8291 0.7570  1 Si 1.60

---

> mass density of number 2 (TaOF3)?

6.368 g/cm3

---

> Which of these has the lowest MP2020-corrected energy?

Na6Ti4Si7Ge4S5O48

---

> Look up the formation energy of the second one.

-3230 meV per atom

---

> What is the total magnetization in the third record?

0.00 μB per cell